[1]
Na3AuF6 | GGA-PBE | optimized geometry

Its formation energy is -2162 meV per atom. As for the crystal system: cubic. The theoretical density comes out at 3.93 g/cm³.

It has space group Fm-3m (No. 225), with a = 8.628 Å, b = 8.628 Å, c = 8.628 Å, α = 90.00°, β = 90.00° and γ = 90.00°. The inequivalent atoms are Na at (0.000, 0.000, 0.000), Na at (0.250, 0.250, 0.250), Au at (0.000, 0.000, 0.500) and F at (0.000, 0.000, 0.254).


[2]
Ge3PbSe4 | GGA-PBE | optimized geometry

Its formation energy is -510 meV per atom. As for the crystal system: monoclinic. The theoretical density comes out at 5.83 g/cm³.

It has space group Pm (No. 6), with a = 4.596 Å, b = 3.996 Å, c = 11.482 Å, α = 90.00°, β = 90.05° and γ = 90.00°. The inequivalent atoms are Ge at (0.000, 0.000, 0.000), Ge at (0.249, 0.500, 0.749), Ge at (0.748, 0.000, 0.506), Pb at (0.530, 0.500, 0.262), Se at (0.090, 0.000, 0.221), Se at (0.111, 0.500, 0.527), Se at (0.615, 0.000, 0.722) and Se at (0.631, 0.500, 0.013).